# 1
Compound: BaDyNbSnO6
Source: the Materials Project database
Functional: GGA-PBE
Structure: optimized geometry

Symmetry: P222, No. 16
Energy of formation: -3.009 eV per atom
E (MP2020): -321.67 eV per cell
Calculated density: 6.7 g/cm3

Unit cell a=8.433 b=8.435 c=8.475 alpha=90.00 beta=90.00 gamma=90.00
Fractional coordinates of all 40 atoms:
Ba1 0.000 0.000 0.000
Ba2 0.000 0.000 0.500
Ba3 0.500 0.000 0.000
Ba4 0.500 0.500 0.000
Dy1 0.250 0.255 0.745
Dy2 0.250 0.745 0.255
Dy3 0.750 0.255 0.255
Dy4 0.750 0.745 0.745
Nb1 0.253 0.250 0.254
Nb2 0.253 0.750 0.746
Nb3 0.747 0.250 0.746
Nb4 0.747 0.750 0.254
Sn1 0.000 0.500 0.000
Sn2 0.000 0.500 0.500
Sn3 0.500 0.000 0.500
Sn4 0.500 0.500 0.500
O1 0.015 0.283 0.292
O2 0.015 0.717 0.708
O3 0.217 0.286 0.015
O4 0.217 0.714 0.985
O5 0.223 0.014 0.225
O6 0.223 0.986 0.775
O7 0.285 0.209 0.487
O8 0.285 0.791 0.513
O9 0.290 0.486 0.289
O10 0.290 0.514 0.711
O11 0.487 0.230 0.217
O12 0.487 0.770 0.783
O13 0.513 0.230 0.783
O14 0.513 0.770 0.217
O15 0.710 0.486 0.711
O16 0.710 0.514 0.289
O17 0.715 0.209 0.513
O18 0.715 0.791 0.487
O19 0.777 0.014 0.775
O20 0.777 0.986 0.225
O21 0.783 0.286 0.985
O22 0.783 0.714 0.015
O23 0.985 0.283 0.708
O24 0.985 0.717 0.292



# 2
Compound: BaDyNbSnO6
Source: the Materials Project database
Functional: GGA-PBE
Structure: optimized geometry

Symmetry: P-1, No. 2
Energy of formation: -3.011 eV per atom
E (MP2020): -160.88 eV per cell
Calculated density: 6.7 g/cm3

Unit cell a=5.937 b=5.973 c=8.491 alpha=90.38 beta=90.12 gamma=90.70
Fractional coordinates of all 20 atoms:
Ba1 0.004 0.019 0.249
Ba2 0.996 0.981 0.751
Dy1 0.000 0.500 0.000
Dy2 0.500 0.000 0.500
Nb1 0.000 0.500 0.500
Nb2 0.500 0.000 0.000
Sn1 0.497 0.486 0.753
Sn2 0.503 0.514 0.247
O1 0.092 0.497 0.736
O2 0.197 0.771 0.473
O3 0.227 0.801 0.020
O4 0.268 0.299 0.449
O5 0.304 0.276 0.043
O6 0.446 0.029 0.764
O7 0.554 0.971 0.236
O8 0.696 0.724 0.957
O9 0.732 0.701 0.551
O10 0.773 0.199 0.980
O11 0.803 0.229 0.527
O12 0.908 0.503 0.264



# 3
Compound: BaDyNbSnO6
Source: the Materials Project database
Functional: GGA-PBE
Structure: optimized geometry

Symmetry: F-43m, No. 216
Energy of formation: -2.973 eV per atom
E (MP2020): -80.05 eV per cell
Calculated density: 6.6 g/cm3

Unit cell a=6.009 b=6.009 c=6.009 alpha=60.00 beta=60.00 gamma=60.00
Fractional coordinates of all 10 atoms:
Ba1 0.000 0.000 0.000
Dy1 0.250 0.250 0.250
Nb1 0.750 0.750 0.750
Sn1 0.500 0.500 0.500
O1 0.513 0.513 0.987
O2 0.513 0.987 0.513
O3 0.513 0.987 0.987
O4 0.987 0.513 0.513
O5 0.987 0.513 0.987
O6 0.987 0.987 0.513



# 4
Compound: BaSrDyNbO6
Source: the Materials Project database
Functional: GGA-PBE
Structure: optimized geometry

Symmetry: P-1, No. 2
Energy of formation: -3.456 eV per atom
E (MP2020): -165.12 eV per cell
Calculated density: 6.3 g/cm3

Unit cell a=5.973 b=5.978 c=8.460 alpha=90.23 beta=90.15 gamma=90.50
Fractional coordinates of all 20 atoms:
Ba1 0.004 0.019 0.250
Ba2 0.996 0.981 0.750
Sr1 0.497 0.523 0.251
Sr2 0.503 0.477 0.749
Dy1 0.000 0.500 0.500
Dy2 0.500 0.000 0.000
Nb1 0.000 0.500 0.000
Nb2 0.500 0.000 0.500
O1 0.067 0.506 0.764
O2 0.209 0.763 0.031
O3 0.238 0.789 0.470
O4 0.268 0.295 0.034
O5 0.297 0.270 0.468
O6 0.446 0.015 0.736
O7 0.554 0.985 0.264
O8 0.703 0.730 0.532
O9 0.732 0.705 0.966
O10 0.762 0.211 0.530
O11 0.791 0.237 0.969
O12 0.933 0.494 0.236



# 5
Compound: BaSrDyNbO6
Source: the Materials Project database
Functional: GGA-PBE
Structure: optimized geometry

Symmetry: F-43m, No. 216
Energy of formation: -3.432 eV per atom
E (MP2020): -82.32 eV per cell
Calculated density: 6.2 g/cm3

Unit cell a=6.012 b=6.012 c=6.012 alpha=60.00 beta=60.00 gamma=60.00
Fractional coordinates of all 10 atoms:
Ba1 0.000 0.000 0.000
Sr1 0.500 0.500 0.500
Dy1 0.750 0.750 0.750
Nb1 0.250 0.250 0.250
O1 0.013 0.013 0.487
O2 0.013 0.487 0.013
O3 0.013 0.487 0.487
O4 0.487 0.013 0.013
O5 0.487 0.013 0.487
O6 0.487 0.487 0.013



# 6
Compound: BaSrDyNbO6
Source: the Materials Project database
Functional: GGA-PBE
Structure: optimized geometry

Symmetry: P222, No. 16
Energy of formation: -3.454 eV per atom
E (MP2020): -330.18 eV per cell
Calculated density: 6.3 g/cm3

Unit cell a=8.449 b=8.455 c=8.462 alpha=90.00 beta=90.00 gamma=90.00
Fractional coordinates of all 40 atoms:
Ba1 0.000 0.000 0.000
Ba2 0.000 0.000 0.500
Ba3 0.500 0.000 0.000
Ba4 0.500 0.500 0.500
Sr1 0.000 0.500 0.000
Sr2 0.000 0.500 0.500
Sr3 0.500 0.000 0.500
Sr4 0.500 0.500 0.000
Dy1 0.251 0.252 0.750
Dy2 0.251 0.748 0.250
Dy3 0.749 0.252 0.250
Dy4 0.749 0.748 0.750
Nb1 0.250 0.254 0.251
Nb2 0.250 0.746 0.749
Nb3 0.750 0.254 0.749
Nb4 0.750 0.746 0.251
O1 0.013 0.230 0.273
O2 0.013 0.770 0.727
O3 0.219 0.487 0.287
O4 0.219 0.513 0.713
O5 0.221 0.281 0.013
O6 0.221 0.719 0.987
O7 0.270 0.015 0.228
O8 0.270 0.985 0.772
O9 0.285 0.222 0.486
O10 0.285 0.778 0.514
O11 0.485 0.286 0.217
O12 0.485 0.714 0.783
O13 0.515 0.286 0.783
O14 0.515 0.714 0.217
O15 0.715 0.222 0.514
O16 0.715 0.778 0.486
O17 0.730 0.015 0.772
O18 0.730 0.985 0.228
O19 0.779 0.281 0.987
O20 0.779 0.719 0.013
O21 0.781 0.487 0.713
O22 0.781 0.513 0.287
O23 0.987 0.230 0.727
O24 0.987 0.770 0.273



# 7
Compound: BaDy2O4
Source: the Materials Project database
Functional: GGA-PBE
Structure: optimized geometry

Symmetry: Pnma, No. 62
Energy of formation: -3.682 eV per atom
E (MP2020): -226.80 eV per cell
Calculated density: 7.8 g/cm3

Unit cell a=10.503 b=3.485 c=12.226 alpha=90.00 beta=90.00 gamma=90.00
Fractional coordinates of all 28 atoms:
Ba1 0.247 0.250 0.149
Ba2 0.253 0.750 0.649
Ba3 0.747 0.250 0.351
Ba4 0.753 0.750 0.851
Dy1 0.074 0.250 0.389
Dy2 0.078 0.250 0.891
Dy3 0.422 0.750 0.391
Dy4 0.426 0.750 0.889
Dy5 0.574 0.250 0.111
Dy6 0.578 0.250 0.609
Dy7 0.922 0.750 0.109
Dy8 0.926 0.750 0.611
O1 0.018 0.750 0.783
O2 0.070 0.250 0.574
O3 0.115 0.750 0.017
O4 0.210 0.750 0.340
O5 0.290 0.250 0.840
O6 0.385 0.250 0.517
O7 0.430 0.750 0.074
O8 0.482 0.250 0.283
O9 0.518 0.750 0.717
O10 0.570 0.250 0.926
O11 0.615 0.750 0.483
O12 0.710 0.750 0.160
O13 0.790 0.250 0.660
O14 0.885 0.250 0.983
O15 0.930 0.750 0.426
O16 0.982 0.250 0.217



# 8
Compound: Ba3Dy4O9
Source: the Materials Project database
Functional: GGA-PBE
Structure: optimized geometry

Symmetry: R3, No. 146
Energy of formation: -3.564 eV per atom
E (MP2020): -125.74 eV per cell
Calculated density: 7.1 g/cm3

Unit cell a=9.261 b=9.261 c=9.261 alpha=38.79 beta=38.79 gamma=38.79
Fractional coordinates of all 16 atoms:
Ba1 0.000 0.000 0.000
Ba2 0.166 0.166 0.166
Ba3 0.588 0.588 0.588
Dy1 0.301 0.301 0.301
Dy2 0.427 0.427 0.427
Dy3 0.739 0.739 0.739
Dy4 0.864 0.864 0.864
O1 0.019 0.146 0.584
O2 0.038 0.577 0.462
O3 0.122 0.712 0.580
O4 0.146 0.584 0.019
O5 0.462 0.038 0.577
O6 0.577 0.462 0.038
O7 0.580 0.122 0.712
O8 0.584 0.019 0.146
O9 0.712 0.580 0.122



Q: Which formula does entry 8 have?
A: Ba3Dy4O9



Q: Among the records above, which one has the lowest E (MP2020)?
A: number 6